Below is an optimized crystal structure of MgB6O16, with properties calculated at the GGA-PBE level.

The energy relative to the lowest polymorph listed for this composition comes out at 0.119 eV/atom. The calculation puts the formation energy at -1.336 eV/atom. Its space group is No. 14.

Cell: 10.929 9.957 10.893 Å, 90.00 90.54 90.00°
Fractional coordinates of all 92 atoms:
Mg (0.000, 0.000, 0.000)
Mg (0.000, 0.500, 0.500)
Mg (0.500, 0.000, 0.500)
Mg (0.500, 0.500, 0.000)
B (0.090, 0.101, 0.396)
B (0.090, 0.399, 0.896)
B (0.224, 0.596, 0.901)
B (0.224, 0.904, 0.401)
B (0.277, 0.697, 0.301)
B (0.277, 0.803, 0.801)
B (0.288, 0.116, 0.295)
B (0.288, 0.384, 0.795)
B (0.383, 0.607, 0.732)
B (0.383, 0.893, 0.232)
B (0.407, 0.097, 0.107)
B (0.407, 0.403, 0.607)
B (0.593, 0.597, 0.393)
B (0.593, 0.903, 0.893)
B (0.617, 0.107, 0.768)
B (0.617, 0.393, 0.268)
B (0.712, 0.616, 0.205)
B (0.712, 0.884, 0.705)
B (0.723, 0.197, 0.199)
B (0.723, 0.303, 0.699)
B (0.776, 0.096, 0.599)
B (0.776, 0.404, 0.099)
B (0.910, 0.601, 0.104)
B (0.910, 0.899, 0.604)
O (0.008, 0.661, 0.392)
O (0.008, 0.839, 0.892)
O (0.027, 0.656, 0.097)
O (0.027, 0.844, 0.597)
O (0.110, 0.612, 0.612)
O (0.110, 0.888, 0.112)
O (0.112, 0.529, 0.934)
O (0.112, 0.971, 0.434)
O (0.177, 0.011, 0.851)
O (0.177, 0.489, 0.351)
O (0.178, 0.177, 0.340)
O (0.178, 0.323, 0.840)
O (0.211, 0.741, 0.887)
O (0.211, 0.759, 0.387)
O (0.265, 0.537, 0.777)
O (0.265, 0.963, 0.277)
O (0.267, 0.547, 0.293)
O (0.267, 0.953, 0.793)
O (0.325, 0.568, 0.987)
O (0.325, 0.932, 0.487)
O (0.331, 0.171, 0.182)
O (0.331, 0.329, 0.682)
O (0.357, 0.749, 0.222)
O (0.357, 0.751, 0.722)
O (0.386, 0.118, 0.390)
O (0.386, 0.382, 0.890)
O (0.422, 0.540, 0.622)
O (0.422, 0.960, 0.122)
O (0.466, 0.170, 0.019)
O (0.466, 0.330, 0.519)
O (0.472, 0.585, 0.832)
O (0.472, 0.915, 0.332)
O (0.528, 0.085, 0.668)
O (0.528, 0.415, 0.168)
O (0.534, 0.670, 0.481)
O (0.534, 0.830, 0.981)
O (0.578, 0.040, 0.878)
O (0.578, 0.460, 0.378)
O (0.614, 0.618, 0.110)
O (0.614, 0.882, 0.610)
O (0.643, 0.249, 0.278)
O (0.643, 0.251, 0.778)
O (0.669, 0.671, 0.318)
O (0.669, 0.829, 0.818)
O (0.675, 0.068, 0.513)
O (0.675, 0.432, 0.013)
O (0.733, 0.047, 0.207)
O (0.733, 0.453, 0.707)
O (0.735, 0.037, 0.723)
O (0.735, 0.463, 0.223)
O (0.789, 0.241, 0.613)
O (0.789, 0.259, 0.113)
O (0.822, 0.677, 0.160)
O (0.822, 0.823, 0.660)
O (0.823, 0.511, 0.649)
O (0.823, 0.989, 0.149)
O (0.888, 0.029, 0.566)
O (0.888, 0.471, 0.066)
O (0.890, 0.112, 0.888)
O (0.890, 0.388, 0.388)
O (0.973, 0.156, 0.403)
O (0.973, 0.344, 0.903)
O (0.992, 0.161, 0.108)
O (0.992, 0.339, 0.608)

Below is an optimized crystal structure of MgB3O13, with properties calculated at the GGA-PBE level.

The energy relative to the lowest polymorph listed for this composition comes out at 0.230 eV/atom. The calculation puts the formation energy at -0.883 eV/atom. Its space group is No. 14.

Cell: 7.174 13.301 11.528 Å, 90.00 102.44 90.00°
Fractional coordinates of all 68 atoms:
Mg (0.228, 0.157, 0.050)
Mg (0.228, 0.343, 0.550)
Mg (0.772, 0.657, 0.450)
Mg (0.772, 0.843, 0.950)
B (0.324, 0.043, 0.839)
B (0.324, 0.457, 0.339)
B (0.365, 0.524, 0.722)
B (0.365, 0.976, 0.222)
B (0.432, 0.611, 0.286)
B (0.432, 0.889, 0.786)
B (0.568, 0.111, 0.214)
B (0.568, 0.389, 0.714)
B (0.635, 0.024, 0.778)
B (0.635, 0.476, 0.278)
B (0.676, 0.543, 0.661)
B (0.676, 0.957, 0.161)
O (0.122, 0.714, 0.480)
O (0.122, 0.786, 0.980)
O (0.189, 0.201, 0.456)
O (0.189, 0.299, 0.956)
O (0.192, 0.036, 0.458)
O (0.192, 0.464, 0.958)
O (0.204, 0.709, 0.021)
O (0.204, 0.791, 0.521)
O (0.211, 0.096, 0.894)
O (0.211, 0.404, 0.394)
O (0.213, 0.017, 0.131)
O (0.213, 0.483, 0.631)
O (0.224, 0.169, 0.230)
O (0.224, 0.331, 0.730)
O (0.258, 0.581, 0.791)
O (0.258, 0.919, 0.291)
O (0.270, 0.117, 0.503)
O (0.270, 0.383, 0.003)
O (0.275, 0.557, 0.304)
O (0.275, 0.943, 0.804)
O (0.468, 0.064, 0.294)
O (0.468, 0.436, 0.794)
O (0.489, 0.190, 0.149)
O (0.489, 0.310, 0.649)
O (0.495, 0.084, 0.823)
O (0.495, 0.416, 0.323)
O (0.505, 0.584, 0.677)
O (0.505, 0.916, 0.177)
O (0.511, 0.690, 0.351)
O (0.511, 0.810, 0.851)
O (0.532, 0.564, 0.206)
O (0.532, 0.936, 0.706)
O (0.725, 0.057, 0.196)
O (0.725, 0.443, 0.696)
O (0.730, 0.617, 0.997)
O (0.730, 0.883, 0.497)
O (0.742, 0.081, 0.709)
O (0.742, 0.419, 0.209)
O (0.776, 0.669, 0.270)
O (0.776, 0.831, 0.770)
O (0.787, 0.517, 0.369)
O (0.787, 0.983, 0.869)
O (0.789, 0.596, 0.606)
O (0.789, 0.904, 0.106)
O (0.796, 0.209, 0.479)
O (0.796, 0.291, 0.979)
O (0.808, 0.536, 0.042)
O (0.808, 0.964, 0.542)
O (0.811, 0.701, 0.044)
O (0.811, 0.799, 0.544)
O (0.878, 0.214, 0.020)
O (0.878, 0.286, 0.520)

Below is an optimized crystal structure of MgB6O16, with properties calculated at the GGA-PBE level.

The energy relative to the lowest polymorph listed for this composition comes out at 0.000 eV/atom. The calculation puts the formation energy at -1.455 eV/atom. Its space group is No. 14.

Cell: 11.582 10.340 10.590 Å, 90.00 92.51 90.00°
Fractional coordinates of all 92 atoms:
Mg (0.000, 0.000, 0.000)
Mg (0.000, 0.500, 0.500)
Mg (0.500, 0.000, 0.500)
Mg (0.500, 0.500, 0.000)
B (0.117, 0.075, 0.414)
B (0.117, 0.425, 0.914)
B (0.127, 0.609, 0.768)
B (0.127, 0.891, 0.268)
B (0.197, 0.114, 0.209)
B (0.197, 0.386, 0.709)
B (0.245, 0.715, 0.198)
B (0.245, 0.785, 0.698)
B (0.268, 0.584, 0.592)
B (0.268, 0.916, 0.092)
B (0.363, 0.121, 0.082)
B (0.363, 0.379, 0.582)
B (0.637, 0.621, 0.418)
B (0.637, 0.879, 0.918)
B (0.732, 0.084, 0.908)
B (0.732, 0.416, 0.408)
B (0.755, 0.215, 0.302)
B (0.755, 0.285, 0.802)
B (0.803, 0.614, 0.291)
B (0.803, 0.886, 0.791)
B (0.873, 0.109, 0.732)
B (0.873, 0.391, 0.232)
B (0.883, 0.575, 0.086)
B (0.883, 0.925, 0.586)
O (0.035, 0.589, 0.669)
O (0.035, 0.911, 0.169)
O (0.096, 0.554, 0.887)
O (0.096, 0.946, 0.387)
O (0.100, 0.114, 0.115)
O (0.100, 0.386, 0.615)
O (0.101, 0.124, 0.532)
O (0.101, 0.376, 0.032)
O (0.161, 0.160, 0.328)
O (0.161, 0.340, 0.828)
O (0.161, 0.746, 0.773)
O (0.161, 0.754, 0.273)
O (0.165, 0.568, 0.508)
O (0.165, 0.932, 0.008)
O (0.231, 0.531, 0.721)
O (0.231, 0.969, 0.221)
O (0.283, 0.580, 0.226)
O (0.283, 0.920, 0.726)
O (0.295, 0.183, 0.161)
O (0.295, 0.317, 0.661)
O (0.300, 0.719, 0.609)
O (0.300, 0.781, 0.109)
O (0.361, 0.529, 0.154)
O (0.361, 0.971, 0.654)
O (0.363, 0.505, 0.548)
O (0.363, 0.995, 0.048)
O (0.375, 0.593, 0.902)
O (0.375, 0.907, 0.402)
O (0.424, 0.178, 0.522)
O (0.424, 0.322, 0.022)
O (0.456, 0.198, 0.027)
O (0.456, 0.302, 0.527)
O (0.544, 0.698, 0.473)
O (0.544, 0.802, 0.973)
O (0.576, 0.678, 0.978)
O (0.576, 0.822, 0.478)
O (0.625, 0.093, 0.598)
O (0.625, 0.407, 0.098)
O (0.637, 0.005, 0.952)
O (0.637, 0.495, 0.452)
O (0.639, 0.029, 0.346)
O (0.639, 0.471, 0.846)
O (0.700, 0.219, 0.891)
O (0.700, 0.281, 0.391)
O (0.705, 0.683, 0.339)
O (0.705, 0.817, 0.839)
O (0.717, 0.080, 0.274)
O (0.717, 0.420, 0.774)
O (0.769, 0.031, 0.779)
O (0.769, 0.469, 0.279)
O (0.835, 0.068, 0.992)
O (0.835, 0.432, 0.492)
O (0.839, 0.246, 0.727)
O (0.839, 0.254, 0.227)
O (0.839, 0.660, 0.172)
O (0.839, 0.840, 0.672)
O (0.899, 0.624, 0.968)
O (0.899, 0.876, 0.468)
O (0.900, 0.614, 0.385)
O (0.900, 0.886, 0.885)
O (0.904, 0.054, 0.613)
O (0.904, 0.446, 0.113)
O (0.965, 0.089, 0.831)
O (0.965, 0.411, 0.331)

Below is an optimized crystal structure of MgB3O13, with properties calculated at the GGA-PBE level.

The energy relative to the lowest polymorph listed for this composition comes out at 0.000 eV/atom. The calculation puts the formation energy at -1.113 eV/atom. Its space group is No. 2.

Cell: 5.697 9.093 10.149 Å, 109.12 102.87 93.42°
Fractional coordinates of all 34 atoms:
Mg (0.129, 0.381, 0.404)
Mg (0.871, 0.619, 0.596)
B (0.327, 0.177, 0.589)
B (0.405, 0.477, 0.690)
B (0.450, 0.309, 0.844)
B (0.550, 0.691, 0.156)
B (0.595, 0.523, 0.310)
B (0.673, 0.823, 0.411)
O (0.021, 0.548, 0.061)
O (0.045, 0.125, 0.296)
O (0.133, 0.120, 0.014)
O (0.153, 0.623, 0.461)
O (0.163, 0.019, 0.321)
O (0.201, 0.565, 0.667)
O (0.221, 0.999, 0.011)
O (0.249, 0.027, 0.481)
O (0.332, 0.315, 0.563)
O (0.385, 0.441, 0.323)
O (0.396, 0.168, 0.724)
O (0.432, 0.450, 0.827)
O (0.481, 0.709, 0.025)
O (0.519, 0.291, 0.975)
O (0.568, 0.550, 0.173)
O (0.604, 0.832, 0.276)
O (0.615, 0.559, 0.677)
O (0.668, 0.685, 0.437)
O (0.751, 0.973, 0.519)
O (0.779, 0.001, 0.989)
O (0.799, 0.435, 0.333)
O (0.837, 0.981, 0.679)
O (0.847, 0.377, 0.539)
O (0.867, 0.880, 0.986)
O (0.955, 0.875, 0.704)
O (0.979, 0.452, 0.939)